GGA-PBE RbTeAu, optimized geometry; crystal system = hexagonal; total DFT energy (no corrections) = -3.14 eV/atom; ΔE_f = -65.1 kJ per mole of atoms; symmetry = P6_3/mmc (194)
1.0
4.784 0.000 0.000
-2.392 4.143 0.000
0.000 0.000 10.698
Rb Te Au
2 2 2
Cartesian
0.000 0.000 0.000
0.000 0.000 5.349
0.000 2.762 2.674
2.392 1.381 8.023
0.000 2.762 8.023
2.392 1.381 2.674